Record 1
First-principles (PBE) data for crystalline K2PrCuF6 at its relaxed geometry, as listed in Materials Project.

Cell: 6.4215 6.4215 6.4215 Å, 60.00 60.00 60.00°
With the nearest neighbours (Å) after each atom.
Element x y z (fractional)
K (0.2500, 0.2500, 0.2500)  12 F 3.21
K (0.7500, 0.7500, 0.7500)  12 F 3.21
Pr (0.0000, 0.0000, 0.0000)  6 F 2.29
Cu (0.5000, 0.5000, 0.5000)  6 F 2.25
F (0.2521, 0.2521, 0.7479)  1 Cu 2.25, 1 Pr 2.29
F (0.2521, 0.7479, 0.2521)  1 Cu 2.25, 1 Pr 2.29
F (0.2521, 0.7479, 0.7479)  1 Cu 2.25, 1 Pr 2.29
F (0.7479, 0.2521, 0.2521)  1 Cu 2.25, 1 Pr 2.29
F (0.7479, 0.2521, 0.7479)  1 Cu 2.25, 1 Pr 2.29
F (0.7479, 0.7479, 0.2521)  1 Cu 2.25, 1 Pr 2.29

Output
* space-group type: Fm-3m (225)



Record 2
First-principles (PBE) data for crystalline Ba2SmGaSe5 at its relaxed geometry, as listed in Materials Project.

Cell: 7.4332 8.8767 9.6179 Å, 103.71 103.00 107.52°
With the nearest neighbours (Å) after each atom.
Element x y z (fractional)
Ba (0.1343, 0.4784, 0.2927)  7 Se 3.29-3.66
Ba (0.1599, 0.9904, 0.2949)  8 Se 3.31-3.62
Ba (0.8401, 0.0096, 0.7051)  8 Se 3.31-3.62
Ba (0.8657, 0.5216, 0.7073)  7 Se 3.29-3.66
Sm (0.4972, 0.2307, 0.9976)  6 Se 2.87-3.10
Sm (0.5028, 0.7693, 0.0024)  6 Se 2.87-3.10
Ga (0.3044, 0.3711, 0.6870)  4 Se 2.39-2.51
Ga (0.6956, 0.6289, 0.3130)  4 Se 2.39-2.51
Se (0.0112, 0.7596, 0.5078)  1 Ga 2.39
Se (0.2020, 0.9097, 0.9451)  2 Sm 2.87-2.88
Se (0.2072, 0.4061, 0.9226)  1 Ga 2.51
Se (0.4829, 0.6495, 0.6853)  1 Ga 2.43
Se (0.4884, 0.1857, 0.6813)  1 Ga 2.44
Se (0.5116, 0.8143, 0.3187)  1 Ga 2.44
Se (0.5171, 0.3505, 0.3147)  1 Ga 2.43
Se (0.7928, 0.5939, 0.0774)  1 Ga 2.51
Se (0.7980, 0.0903, 0.0549)  2 Sm 2.87-2.88
Se (0.9888, 0.2404, 0.4922)  1 Ga 2.39

Output
* space-group type: P-1 (2)



For reference, energy relative to the elements by record: -3051; -1908 meV/atom.